A geometry-optimized LiV2P2H5O11 structure, computed with PBE+U.

Lattice parameters (Å, degrees): 9.6528 9.7867 12.3066 52.18 90.00 90.00
With the nearest neighbours (Å) after each atom.
Element x y z (fractional)
H 0.2962 0.0404 0.4241  1 O 0.99
V 0.2310 0.7127 0.5928  6 O 1.96-2.15
O 0.8965 0.7371 0.0696  1 P 1.55
O 0.3550 0.2130 0.8308  2 H 0.99
O 0.1084 0.5658 0.2107  1 P 1.57
O 0.9560 0.1633 0.5104  2 H 0.98-1.01
O 0.3566 0.9424 0.4930  1 H 0.99
O 0.4792 0.8881 0.2939  1 P 1.57
O 0.6450 0.7870 0.1692  2 H 0.99
H 0.1433 0.3385 0.2852  1 O 0.99
O 0.7264 0.3030 0.5591  1 P 1.56
V 0.7690 0.2873 0.4072  6 O 1.96-2.15
O 0.2613 0.9903 0.7029  1 P 1.52
V 0.0555 0.0305 0.1031  6 O 1.99-2.18
H 0.9677 0.8309 0.5484  1 O 1.01
O 0.5440 0.1633 0.0104  2 H 0.98-1.01
O 0.1434 0.9424 0.9930  1 H 0.99
O 0.1035 0.2629 0.9304  1 P 1.55
Li 0.6993 0.5325 0.9676  2 O 1.93
P 0.3287 0.8289 0.2904  4 O 1.52-1.57
O 0.6035 0.7371 0.5696  1 P 1.55
O 0.5040 0.2174 0.2631  1 P 1.55
P 0.5299 0.6502 0.7101  4 O 1.54-1.57
V 0.5555 0.9695 0.3969  6 O 1.99-2.18
P 0.9701 0.6502 0.2101  4 O 1.54-1.57
O 0.3916 0.5658 0.7107  1 P 1.57
O 0.9792 0.1119 0.2061  1 P 1.57
O 0.8430 0.2759 0.2646  1 P 1.54
V 0.4445 0.0305 0.6031  6 O 1.99-2.18
H 0.4677 0.1691 0.9516  1 O 1.01
O 0.4560 0.8367 0.9896  2 H 0.98-1.01
H 0.5323 0.8309 0.0484  1 O 1.01
O 0.3430 0.7241 0.2354  1 P 1.54
Li 0.8007 0.5325 0.4676  2 O 1.93
O 0.7736 0.3030 0.0591  1 P 1.56
H 0.4762 0.9253 0.8913  1 O 0.98
V 0.2690 0.7127 0.0928  6 O 1.96-2.15
O 0.2264 0.6970 0.9409  1 P 1.56
H 0.6433 0.6615 0.2148  1 O 0.99
P 0.6713 0.1711 0.7096  4 O 1.52-1.57
H 0.2038 0.0404 0.9241  1 O 0.99
O 0.6434 0.0576 0.5070  1 H 0.99
H 0.0323 0.1691 0.4516  1 O 1.01
O 0.8550 0.7870 0.6692  2 H 0.99
Li 0.3007 0.4675 0.0324  2 O 1.93
H 0.5238 0.0747 0.1087  1 O 0.98
O 0.0208 0.8881 0.7939  1 P 1.57
O 0.8566 0.0576 0.0070  1 H 0.99
O 0.6234 0.5141 0.8315  1 P 1.54
H 0.9110 0.8052 0.7265  1 O 0.99
O 0.5208 0.1119 0.7061  1 P 1.57
O 0.2736 0.6970 0.4409  1 P 1.56
O 0.8916 0.4342 0.7893  1 P 1.57
O 0.1234 0.4859 0.6685  1 P 1.54
O 0.2387 0.9903 0.2029  1 P 1.52
H 0.7962 0.9596 0.0759  1 O 0.99
O 0.0440 0.8367 0.4896  2 H 0.98-1.01
H 0.8567 0.6615 0.7148  1 O 0.99
O 0.3965 0.2629 0.4304  1 P 1.55
O 0.7613 0.0097 0.7971  1 P 1.52
O 0.1570 0.7241 0.7354  1 P 1.54
H 0.0238 0.9253 0.3913  1 O 0.98
P 0.4701 0.3498 0.2899  4 O 1.54-1.57
P 0.8287 0.1711 0.2096  4 O 1.52-1.57
P 0.1713 0.8289 0.7904  4 O 1.52-1.57
Li 0.1993 0.4675 0.5324  2 O 1.93
O 0.4960 0.7826 0.7369  1 P 1.55
O 0.6084 0.4342 0.2893  1 P 1.57
O 0.8766 0.5141 0.3315  1 P 1.54
H 0.3567 0.3385 0.7852  1 O 0.99
V 0.7310 0.2873 0.9072  6 O 1.96-2.15
O 0.1450 0.2130 0.3308  2 H 0.99
O 0.9960 0.2174 0.7631  1 P 1.55
O 0.6570 0.2759 0.7646  1 P 1.54
O 0.7387 0.0097 0.2971  1 P 1.52
H 0.9762 0.0747 0.6087  1 O 0.98
O 0.0040 0.7826 0.2369  1 P 1.55
O 0.3766 0.4859 0.1685  1 P 1.54
H 0.4110 0.1948 0.7735  1 O 0.99
H 0.5890 0.8052 0.2265  1 O 0.99
P 0.0299 0.3498 0.7899  4 O 1.54-1.57
H 0.0890 0.1948 0.2735  1 O 0.99
V 0.9445 0.9695 0.8969  6 O 1.99-2.18
H 0.7038 0.9596 0.5759  1 O 0.99

Computed properties:
energy with MP2020 corrections	-0.5173	Ry per atom
total magnetization	0.190	μB/atom
crystal system	monoclinic
energy	-547.39	eV for the cell shown
calculated volume	918	Å³ per cell
E_form	-2.167	eV/atom

***

A geometry-optimized LiVP3HO10 structure, computed with PBE+U.

Lattice parameters (Å, degrees): 5.0385 11.9765 15.4998 90.00 90.00 90.00
With the nearest neighbours (Å) after each atom.
Element x y z (fractional)
P 0.5132 0.9194 0.1231  4 O 1.51-1.63
P 0.4868 0.0806 0.6231  4 O 1.51-1.63
O 0.9113 0.6765 0.2015  1 P 1.51
O 0.5487 0.9590 0.6652  2 P 1.59-1.63
Li 0.9421 0.8056 0.4456  2 O 1.96-2.00
P 0.2564 0.4161 0.7391  4 O 1.51-1.59
O 0.5455 0.0550 0.5260  1 H 1.04
P 0.7436 0.5839 0.2391  4 O 1.51-1.59
O 0.9113 0.8235 0.7015  1 P 1.51
O 0.6670 0.3312 0.1612  1 P 1.51
O 0.8929 0.4874 0.2789  1 P 1.51
O 0.3330 0.8312 0.1612  1 P 1.51
V 0.9948 0.3334 0.2372  6 O 2.02-2.13
O 0.5909 0.7345 0.4506  1 H 1.51, 1 P 1.52
O 0.2014 0.7757 0.3506  1 P 1.54
O 0.0887 0.1765 0.2015  1 P 1.51
P 0.7436 0.9161 0.7391  4 O 1.51-1.59
O 0.8075 0.8960 0.1351  1 P 1.52
O 0.2014 0.7243 0.8506  1 P 1.54
P 0.4987 0.2481 0.8576  4 O 1.52-1.64
O 0.4586 0.3686 0.8092  2 P 1.59-1.64
H 0.5075 0.8758 0.9898  1 O 1.04
H 0.5075 0.6242 0.4898  1 O 1.04
H 0.4925 0.1242 0.4898  1 O 1.04
Li 0.0579 0.1944 0.9456  2 O 1.96-2.00
O 0.4545 0.9450 0.0260  1 H 1.04
O 0.7986 0.2243 0.8506  1 P 1.54
O 0.3222 0.3388 0.3147  1 P 1.52
O 0.3222 0.1612 0.8147  1 P 1.52
O 0.5487 0.5410 0.1652  2 P 1.59-1.63
O 0.7986 0.2757 0.3506  1 P 1.54
O 0.1071 0.9874 0.2789  1 P 1.51
O 0.3330 0.6688 0.6612  1 P 1.51
O 0.4513 0.4590 0.6652  2 P 1.59-1.63
O 0.5414 0.6314 0.3092  2 P 1.59-1.64
P 0.4987 0.2519 0.3576  4 O 1.52-1.64
Li 0.9421 0.6944 0.9456  2 O 1.96-2.00
O 0.4586 0.1314 0.3092  2 P 1.59-1.64
O 0.0887 0.3235 0.7015  1 P 1.51
O 0.4545 0.5550 0.5260  1 H 1.04
O 0.6778 0.8388 0.3147  1 P 1.52
P 0.4868 0.4194 0.1231  4 O 1.51-1.63
H 0.4925 0.3758 0.9898  1 O 1.04
P 0.5132 0.5806 0.6231  4 O 1.51-1.63
O 0.6778 0.6612 0.8147  1 P 1.52
O 0.5455 0.4450 0.0260  1 H 1.04
O 0.4513 0.0410 0.1652  2 P 1.59-1.63
O 0.5909 0.7655 0.9506  1 H 1.51, 1 P 1.52
O 0.4091 0.2655 0.9506  1 H 1.51, 1 P 1.52
O 0.1071 0.5126 0.7789  1 P 1.51
V 0.9948 0.1666 0.7372  6 O 2.02-2.13
V 0.0052 0.8334 0.2372  6 O 2.02-2.13
O 0.8929 0.0126 0.7789  1 P 1.51
O 0.6670 0.1688 0.6612  1 P 1.51
O 0.8075 0.6040 0.6351  1 P 1.52
P 0.5013 0.7481 0.8576  4 O 1.52-1.64
P 0.2564 0.0839 0.2391  4 O 1.51-1.59
O 0.5414 0.8686 0.8092  2 P 1.59-1.64
V 0.0052 0.6666 0.7372  6 O 2.02-2.13
O 0.1925 0.1040 0.6351  1 P 1.52
O 0.1925 0.3960 0.1351  1 P 1.52
P 0.5013 0.7519 0.3576  4 O 1.52-1.64
Li 0.0579 0.3056 0.4456  2 O 1.96-2.00
O 0.4091 0.2345 0.4506  1 H 1.51, 1 P 1.52

Computed properties:
energy with MP2020 corrections	-0.5538	Ry per atom
total magnetization	0.125	μB/atom
energy relative to the lowest polymorph listed for this composition	0.0000	eV/atom
crystal system	orthorhombic
energy	-447.92	eV for the cell shown
calculated volume	935	Å³ per cell
E_form	-2.528	eV/atom

***

A geometry-optimized Li2VP2HO8 structure, computed with PBE+U.

Lattice parameters (Å, degrees): 7.9872 8.1626 9.7276 89.99 112.22 90.01
With the nearest neighbours (Å) after each atom.
Element x y z (fractional)
P 0.2310 0.8507 0.4311  4 O 1.55-1.56
O 0.5518 0.5607 0.4068  1 H 1.08
O 0.6530 0.1736 0.3976  1 P 1.54
P 0.2690 0.3508 0.0689  4 O 1.55-1.56
P 0.2310 0.8507 0.9311  4 O 1.55-1.56
Li 0.8435 0.8638 0.7310  4 O 1.97-2.05
O 0.6874 0.8169 0.3522  1 P 1.53
H 0.5113 0.5101 0.4917  1 O 1.08
Li 0.3418 0.6374 0.7240  4 O 1.98-2.07
V 0.4964 0.0002 0.7476  6 O 2.00-2.10
O 0.3478 0.8282 0.5997  1 P 1.56
O 0.9483 0.0609 0.5932  1 H 1.08
O 0.6873 0.8170 0.8523  1 P 1.53
O 0.3380 0.9598 0.3616  1 P 1.55
Li 0.6564 0.3639 0.2689  4 O 1.97-2.05
O 0.8368 0.5412 0.3629  1 P 1.54
Li 0.8436 0.8639 0.2310  4 O 1.97-2.05
O 0.9482 0.0608 0.0932  1 H 1.08
P 0.2691 0.3508 0.5689  4 O 1.55-1.56
O 0.5518 0.5608 0.9068  1 H 1.08
H 0.9886 0.0105 0.5083  1 O 1.08
O 0.1905 0.6831 0.3514  1 P 1.55
O 0.3095 0.1831 0.1486  1 P 1.55
O 0.3478 0.8282 0.0997  1 P 1.56
V 0.4965 0.0002 0.2478  6 O 2.00-2.10
Li 0.6564 0.3640 0.7690  4 O 1.97-2.05
O 0.6631 0.0412 0.1371  1 P 1.54
P 0.7363 0.6526 0.4345  4 O 1.53-1.58
Li 0.3418 0.6373 0.2240  4 O 1.98-2.07
O 0.0514 0.9410 0.9050  1 H 1.40, 1 P 1.55
O 0.1623 0.4598 0.6384  1 P 1.55
H 0.5113 0.5103 0.9917  1 O 1.08
V 0.0036 0.5002 0.7526  6 O 2.00-2.10
Li 0.1582 0.1373 0.2760  4 O 1.98-2.07
O 0.4487 0.4410 0.5948  1 H 1.40, 1 P 1.55
O 0.1522 0.3283 0.9003  1 P 1.56
O 0.4485 0.4411 0.0949  1 H 1.40, 1 P 1.55
H 0.9885 0.0103 0.0083  1 O 1.08
O 0.6529 0.1736 0.8975  1 P 1.54
O 0.8127 0.3169 0.1478  1 P 1.53
P 0.7363 0.6527 0.9346  4 O 1.53-1.58
Li 0.1583 0.1375 0.7760  4 O 1.98-2.07
O 0.1523 0.3282 0.4003  1 P 1.56
O 0.3096 0.1831 0.6485  1 P 1.55
V 0.0034 0.4999 0.2524  6 O 2.00-2.10
P 0.7637 0.1527 0.5654  4 O 1.53-1.58
O 0.8368 0.5414 0.8628  1 P 1.54
O 0.8471 0.6734 0.6025  1 P 1.54
O 0.8126 0.3170 0.6478  1 P 1.53
O 0.1620 0.4599 0.1384  1 P 1.55
O 0.3378 0.9599 0.8616  1 P 1.55
O 0.6632 0.0412 0.6372  1 P 1.54
O 0.1904 0.6831 0.8513  1 P 1.55
O 0.8470 0.6735 0.1025  1 P 1.54
O 0.0515 0.9411 0.4050  1 H 1.40, 1 P 1.55
P 0.7636 0.1527 0.0654  4 O 1.53-1.58

Computed properties:
energy with MP2020 corrections	-0.5402	Ry per atom
total magnetization	0.143	μB/atom
energy relative to the lowest polymorph listed for this composition	0.0000	eV/atom
energy	-382.83	eV for the cell shown
calculated volume	587	Å³ per cell
E_form	-2.586	eV/atom